No. 1
Here is an optimized crystal structure of B2Os from Materials Project. Energies are from r2SCAN.

Properties
Space group   Pmmn (59)
Total energy   -136.76 eV per cell
Calculated density   12.76 g/cm³

Lattice parameters (Å, degrees): 2.8840 4.6900 4.0775 90.00 90.00 90.00
Closest atoms and distances in Å follow each position.
Positions (direct):
B  0.2500  0.0556  0.1390  3 B 1.82-1.91
B  0.2500  0.4444  0.1390  3 B 1.82-1.91
B  0.7500  0.5556  0.8610  3 B 1.82-1.91
B  0.7500  0.9444  0.8610  3 B 1.82-1.91
Os  0.2500  0.2500  0.6566  8 B 2.17-2.30
Os  0.7500  0.7500  0.3434  8 B 2.17-2.30

***

No. 2
Here is an optimized crystal structure of Pu2B6Os from Materials Project. Energies are from r2SCAN.

Properties
Space group   Pbam (55)
Total energy   -1100.64 eV per cell
Calculated density   12.62 g/cm³

Lattice parameters (Å, degrees): 9.4409 11.5449 3.5880 90.00 90.00 90.00
Closest atoms and distances in Å follow each position.
Positions (direct):
Pu  0.0463  0.1107  0.0000  12 B 2.66-2.71, 1 Pu 2.70
Pu  0.1631  0.4073  0.0000  14 B 2.62-2.79
Pu  0.3369  0.9073  0.0000  14 B 2.62-2.79
Pu  0.4537  0.6107  0.0000  12 B 2.66-2.71, 1 Pu 2.70
Pu  0.5463  0.3893  0.0000  12 B 2.66-2.71, 1 Pu 2.70
Pu  0.6631  0.0927  0.0000  14 B 2.62-2.79
Pu  0.8369  0.5927  0.0000  14 B 2.62-2.79
Pu  0.9537  0.8893  0.0000  12 B 2.66-2.71, 1 Pu 2.70
B  0.0098  0.2828  0.5000  3 B 1.81-1.91
B  0.0527  0.5692  0.5000  3 B 1.80-1.88
B  0.1447  0.8104  0.5000  3 B 1.72-1.81
B  0.1454  0.9592  0.5000  2 B 1.72
B  0.2002  0.2260  0.5000  3 B 1.76-1.91
B  0.2428  0.5768  0.5000  3 B 1.72-1.80
B  0.2572  0.0768  0.5000  3 B 1.72-1.80
B  0.2998  0.7260  0.5000  3 B 1.76-1.91
B  0.3553  0.3104  0.5000  3 B 1.72-1.81
B  0.3546  0.4592  0.5000  2 B 1.72
B  0.4473  0.0692  0.5000  3 B 1.80-1.88
B  0.4902  0.7828  0.5000  3 B 1.81-1.91
B  0.5098  0.2172  0.5000  3 B 1.81-1.91
B  0.5527  0.9308  0.5000  3 B 1.80-1.88
B  0.6454  0.5408  0.5000  2 B 1.72
B  0.6447  0.6896  0.5000  3 B 1.72-1.81
B  0.7002  0.2740  0.5000  3 B 1.76-1.91
B  0.7428  0.9232  0.5000  3 B 1.72-1.80
B  0.7572  0.4232  0.5000  3 B 1.72-1.80
B  0.7998  0.7740  0.5000  3 B 1.76-1.91
B  0.8546  0.0408  0.5000  2 B 1.72
B  0.8553  0.1896  0.5000  3 B 1.72-1.81
B  0.9473  0.4308  0.5000  3 B 1.80-1.88
B  0.9902  0.7172  0.5000  3 B 1.81-1.91
Os  0.1452  0.6791  0.0000  10 B 2.34-2.38
Os  0.3548  0.1791  0.0000  10 B 2.34-2.38
Os  0.6452  0.8209  0.0000  10 B 2.34-2.38
Os  0.8548  0.3209  0.0000  10 B 2.34-2.38

***

No. 3
Here is an optimized crystal structure of PuB4Os from Materials Project. Energies are from r2SCAN.

Properties
Space group   Cmmm (65)
Total energy   -344.55 eV per cell
Calculated density   12.77 g/cm³

Lattice parameters (Å, degrees): 6.0069 6.0069 3.5467 90.00 90.00 103.98
Closest atoms and distances in Å follow each position.
Positions (direct):
Pu  0.1999  0.8001  0.0000  14 B 2.65-2.76
Pu  0.8001  0.1999  0.0000  14 B 2.65-2.76
B  0.1214  0.4372  0.5000  3 B 1.75-1.88
B  0.1243  0.1243  0.5000  3 B 1.84-1.88
B  0.4086  0.5914  0.5000  3 B 1.73-1.75
B  0.4372  0.1214  0.5000  3 B 1.75-1.88
B  0.5628  0.8786  0.5000  3 B 1.75-1.88
B  0.5914  0.4086  0.5000  3 B 1.73-1.75
B  0.8757  0.8757  0.5000  3 B 1.84-1.88
B  0.8786  0.5628  0.5000  3 B 1.75-1.88
Os  0.3138  0.3138  0.0000  10 B 2.26-2.41
Os  0.6862  0.6862  0.0000  10 B 2.26-2.41

***

No. 4
Here is an optimized crystal structure of Tb2B6Os from Materials Project. Energies are from r2SCAN.

Properties
Space group   Pbam (55)
Total energy   -663.64 eV per cell
Calculated density   9.77 g/cm³

Lattice parameters (Å, degrees): 9.1850 11.5482 3.6717 90.00 90.00 90.00
Closest atoms and distances in Å follow each position.
Positions (direct):
Tb  0.0558  0.1265  0.0000  12 B 2.61-2.64, 2 Os 2.87-2.88
Tb  0.1772  0.4138  0.0000  14 B 2.73-2.81
Tb  0.3228  0.9138  0.0000  14 B 2.73-2.81
Tb  0.4442  0.6265  0.0000  12 B 2.61-2.64, 2 Os 2.87-2.88
Tb  0.5558  0.3735  0.0000  12 B 2.61-2.64, 2 Os 2.87-2.88
Tb  0.6772  0.0862  0.0000  14 B 2.73-2.81
Tb  0.8228  0.5862  0.0000  14 B 2.73-2.81
Tb  0.9442  0.8735  0.0000  12 B 2.61-2.64, 2 Os 2.87-2.88
B  0.0156  0.2869  0.5000  3 B 1.79-1.89
B  0.0539  0.5675  0.5000  3 B 1.78-1.85
B  0.1126  0.9687  0.5000  2 B 1.80-1.82
B  0.1325  0.8138  0.5000  3 B 1.72-1.80
B  0.2099  0.2326  0.5000  3 B 1.72-1.89
B  0.2467  0.5800  0.5000  3 B 1.78-1.82
B  0.2533  0.0800  0.5000  3 B 1.78-1.82
B  0.2901  0.7326  0.5000  3 B 1.72-1.89
B  0.3675  0.3138  0.5000  3 B 1.72-1.80
B  0.3874  0.4687  0.5000  2 B 1.80-1.82
B  0.4461  0.0675  0.5000  3 B 1.78-1.85
B  0.4844  0.7869  0.5000  3 B 1.79-1.89
B  0.5156  0.2131  0.5000  3 B 1.79-1.89
B  0.5539  0.9325  0.5000  3 B 1.78-1.85
B  0.6126  0.5313  0.5000  2 B 1.80-1.82
B  0.6325  0.6862  0.5000  3 B 1.72-1.80
B  0.7099  0.2674  0.5000  3 B 1.72-1.89
B  0.7467  0.9200  0.5000  3 B 1.78-1.82
B  0.7533  0.4200  0.5000  3 B 1.78-1.82
B  0.7901  0.7674  0.5000  3 B 1.72-1.89
B  0.8675  0.1862  0.5000  3 B 1.72-1.80
B  0.8874  0.0313  0.5000  2 B 1.80-1.82
B  0.9461  0.4325  0.5000  3 B 1.78-1.85
B  0.9844  0.7131  0.5000  3 B 1.79-1.89
Os  0.1374  0.6783  0.0000  10 B 2.35-2.41
Os  0.3626  0.1783  0.0000  10 B 2.35-2.41
Os  0.6374  0.8217  0.0000  10 B 2.35-2.41
Os  0.8626  0.3217  0.0000  10 B 2.35-2.41

***

No. 5
Here is an optimized crystal structure of TbB4Os from Materials Project. Energies are from r2SCAN.

Properties
Space group   Pbam (55)
Total energy   -469.73 eV per cell
Calculated density   10.57 g/cm³

Lattice parameters (Å, degrees): 5.9712 11.5521 3.5733 90.00 90.00 90.00
Closest atoms and distances in Å follow each position.
Positions (direct):
Tb  0.1279  0.1502  0.0000  14 B 2.65-2.78, 1 Os 2.96
Tb  0.3721  0.6502  0.0000  14 B 2.65-2.78, 1 Os 2.96
Tb  0.6279  0.3498  0.0000  14 B 2.65-2.78, 1 Os 2.96
Tb  0.8721  0.8498  0.0000  14 B 2.65-2.78, 1 Os 2.96
B  0.0252  0.6908  0.5000  3 B 1.75-1.87
B  0.1121  0.5465  0.5000  3 B 1.72-1.75
B  0.1371  0.9699  0.5000  3 B 1.74-1.85
B  0.2119  0.8146  0.5000  3 B 1.81-1.87
B  0.2881  0.3146  0.5000  3 B 1.81-1.87
B  0.3629  0.4699  0.5000  3 B 1.74-1.85
B  0.3879  0.0465  0.5000  3 B 1.72-1.75
B  0.4748  0.1908  0.5000  3 B 1.75-1.87
B  0.5252  0.8092  0.5000  3 B 1.75-1.87
B  0.6121  0.9535  0.5000  3 B 1.72-1.75
B  0.6371  0.5301  0.5000  3 B 1.74-1.85
B  0.7119  0.6854  0.5000  3 B 1.81-1.87
B  0.7881  0.1854  0.5000  3 B 1.81-1.87
B  0.8629  0.0301  0.5000  3 B 1.74-1.85
B  0.8879  0.4535  0.5000  3 B 1.72-1.75
B  0.9748  0.3092  0.5000  3 B 1.75-1.87
Os  0.1408  0.4066  0.0000  10 B 2.26-2.42
Os  0.3592  0.9066  0.0000  10 B 2.26-2.42
Os  0.6408  0.0934  0.0000  10 B 2.26-2.42
Os  0.8592  0.5934  0.0000  10 B 2.26-2.42

***

No. 6
Here is an optimized crystal structure of Tm2B6Os from Materials Project. Energies are from r2SCAN.

Properties
Space group   Pbam (55)
Total energy   -697.38 eV per cell
Calculated density   10.55 g/cm³

Lattice parameters (Å, degrees): 9.0543 11.4171 3.6118 90.00 90.00 90.00
Closest atoms and distances in Å follow each position.
Positions (direct):
Tm  0.0558  0.1265  0.0000  12 B 2.57-2.59, 2 Os 2.83-2.84
Tm  0.1791  0.4141  0.0000  14 B 2.69-2.78
Tm  0.3209  0.9141  0.0000  14 B 2.69-2.78
Tm  0.4442  0.6265  0.0000  12 B 2.57-2.59, 2 Os 2.83-2.84
Tm  0.5558  0.3735  0.0000  12 B 2.57-2.59, 2 Os 2.83-2.84
Tm  0.6791  0.0859  0.0000  14 B 2.69-2.78
Tm  0.8209  0.5859  0.0000  14 B 2.69-2.78
Tm  0.9442  0.8735  0.0000  12 B 2.57-2.59, 2 Os 2.83-2.84
B  0.0178  0.2869  0.5000  3 B 1.78-1.83
B  0.0535  0.5665  0.5000  3 B 1.77-1.80
B  0.1086  0.9699  0.5000  2 B 1.78-1.80
B  0.1315  0.8151  0.5000  3 B 1.72-1.78
B  0.2086  0.2338  0.5000  3 B 1.72-1.83
B  0.2484  0.5795  0.5000  3 B 1.77-1.80
B  0.2516  0.0795  0.5000  3 B 1.77-1.80
B  0.2914  0.7338  0.5000  3 B 1.72-1.83
B  0.3685  0.3151  0.5000  3 B 1.72-1.78
B  0.3914  0.4699  0.5000  2 B 1.78-1.80
B  0.4465  0.0665  0.5000  3 B 1.77-1.80
B  0.4822  0.7869  0.5000  3 B 1.78-1.83
B  0.5178  0.2131  0.5000  3 B 1.78-1.83
B  0.5535  0.9335  0.5000  3 B 1.77-1.80
B  0.6086  0.5301  0.5000  2 B 1.78-1.80
B  0.6315  0.6849  0.5000  3 B 1.72-1.78
B  0.7086  0.2662  0.5000  3 B 1.72-1.83
B  0.7484  0.9205  0.5000  3 B 1.77-1.80
B  0.7516  0.4205  0.5000  3 B 1.77-1.80
B  0.7914  0.7662  0.5000  3 B 1.72-1.83
B  0.8685  0.1849  0.5000  3 B 1.72-1.78
B  0.8914  0.0301  0.5000  2 B 1.78-1.80
B  0.9465  0.4335  0.5000  3 B 1.77-1.80
B  0.9822  0.7131  0.5000  3 B 1.78-1.83
Os  0.1373  0.6786  0.0000  10 B 2.32-2.39
Os  0.3627  0.1786  0.0000  10 B 2.32-2.39
Os  0.6373  0.8214  0.0000  10 B 2.32-2.39
Os  0.8627  0.3214  0.0000  10 B 2.32-2.39

***

No. 7
Here is an optimized crystal structure of B4OsW from Materials Project. Energies are from r2SCAN.

Properties
Space group   P-6m2 (187)
Total energy   -135.49 eV per cell
Calculated density   12.47 g/cm³

Lattice parameters (Å, degrees): 2.9204 2.9204 7.5235 90.00 90.00 120.00
Closest atoms and distances in Å follow each position.
Positions (direct):
B  0.0000  0.0000  0.2014  3 B 1.82
B  0.0000  0.0000  0.7986  3 B 1.82
B  0.3333  0.6667  0.2928  3 B 1.82
B  0.3333  0.6667  0.7072  3 B 1.82
Os  0.3333  0.6667  0.0000  8 B 2.20-2.27
W  0.0000  0.0000  0.5000  8 B 2.25-2.30

***

No. 8
Here is an optimized crystal structure of Y2B6Os from Materials Project. Energies are from r2SCAN.

Properties
Space group   Pbam (55)
Total energy   -576.48 eV per cell
Calculated density   7.44 g/cm³

Lattice parameters (Å, degrees): 9.1593 11.5301 3.6573 90.00 90.00 90.00
Closest atoms and distances in Å follow each position.
Positions (direct):
Y  0.0559  0.1264  0.0000  12 B 2.60-2.63, 2 Os 2.86-2.87
Y  0.1778  0.4138  0.0000  14 B 2.72-2.81
Y  0.3222  0.9138  0.0000  14 B 2.72-2.81
Y  0.4441  0.6264  0.0000  12 B 2.60-2.63, 2 Os 2.86-2.87
Y  0.5559  0.3736  0.0000  12 B 2.60-2.63, 2 Os 2.86-2.87
Y  0.6778  0.0862  0.0000  14 B 2.72-2.81
Y  0.8222  0.5862  0.0000  14 B 2.72-2.81
Y  0.9441  0.8736  0.0000  12 B 2.60-2.63, 2 Os 2.86-2.87
B  0.0163  0.2869  0.5000  3 B 1.79-1.88
B  0.0537  0.5674  0.5000  3 B 1.78-1.84
B  0.1117  0.9690  0.5000  2 B 1.80-1.82
B  0.1321  0.8140  0.5000  3 B 1.72-1.80
B  0.2097  0.2329  0.5000  3 B 1.72-1.88
B  0.2469  0.5801  0.5000  3 B 1.78-1.82
B  0.2531  0.0801  0.5000  3 B 1.78-1.82
B  0.2903  0.7329  0.5000  3 B 1.72-1.88
B  0.3679  0.3140  0.5000  3 B 1.72-1.80
B  0.3883  0.4690  0.5000  2 B 1.80-1.82
B  0.4463  0.0674  0.5000  3 B 1.78-1.84
B  0.4837  0.7869  0.5000  3 B 1.79-1.88
B  0.5163  0.2131  0.5000  3 B 1.79-1.88
B  0.5537  0.9326  0.5000  3 B 1.78-1.84
B  0.6117  0.5310  0.5000  2 B 1.80-1.82
B  0.6321  0.6860  0.5000  3 B 1.72-1.80
B  0.7097  0.2671  0.5000  3 B 1.72-1.88
B  0.7469  0.9199  0.5000  3 B 1.78-1.82
B  0.7531  0.4199  0.5000  3 B 1.78-1.82
B  0.7903  0.7671  0.5000  3 B 1.72-1.88
B  0.8679  0.1860  0.5000  3 B 1.72-1.80
B  0.8883  0.0310  0.5000  2 B 1.80-1.82
B  0.9463  0.4326  0.5000  3 B 1.78-1.84
B  0.9837  0.7131  0.5000  3 B 1.79-1.88
Os  0.1373  0.6785  0.0000  10 B 2.34-2.41
Os  0.3627  0.1785  0.0000  10 B 2.34-2.41
Os  0.6373  0.8215  0.0000  10 B 2.34-2.41
Os  0.8627  0.3215  0.0000  10 B 2.34-2.41